# Au2S

Crystalline Au2S at its relaxed geometry (meta-GGA r2SCAN, the Materials Project database).

a b c (Å): 5.274 5.274 5.274
angles (deg): 90.00 90.00 90.00
Atoms (fractional coordinates):
Au1 0.000 0.000 0.000
Au2 0.000 0.500 0.500
Au3 0.500 0.000 0.500
Au4 0.500 0.500 0.000
S1 0.250 0.250 0.250
S2 0.750 0.750 0.750

final energy = -36.520 eV/atom
energy relative to the elements = -0.12 eV/atom
total magnetic moment = 0.00 μB/f.u.
mass density = 9.6 g cm⁻³
space-group type = Pn-3m

# NdDyMg2

Crystalline NdDyMg2 at its relaxed geometry (meta-GGA r2SCAN, the Materials Project database).

a b c (Å): 7.676 7.676 7.676
angles (deg): 90.00 90.00 90.00
Atoms (fractional coordinates):
Nd1 0.000 0.000 0.000
Nd2 0.000 0.500 0.500
Nd3 0.500 0.000 0.500
Nd4 0.500 0.500 0.000
Dy1 0.000 0.000 0.500
Dy2 0.000 0.500 0.000
Dy3 0.500 0.000 0.000
Dy4 0.500 0.500 0.500
Mg1 0.250 0.250 0.250
Mg2 0.250 0.250 0.750
Mg3 0.250 0.750 0.250
Mg4 0.250 0.750 0.750
Mg5 0.750 0.250 0.250
Mg6 0.750 0.250 0.750
Mg7 0.750 0.750 0.250
Mg8 0.750 0.750 0.750

final energy = -17.536 eV/atom
energy relative to the elements = -0.10 eV/atom
total magnetic moment = 0.00 μB/f.u.
mass density = 5.2 g cm⁻³
space-group type = Fm-3m